! La3ZnCuRh2PbO12 (PBE, optimized geometry); values from VASP
! Crystal system: triclinic
! Formation enthalpy at 0 K, kcal/mol of atoms: -51.88
! Total magnetization, μB per formula unit: 0.1
&SYSTEM
  ibrav = 0, nat = 20, ntyp = 6
/
ATOMIC_SPECIES
La 138.91 La.upf
Zn 65.41 Zn.upf
Cu 63.55 Cu.upf
Rh 102.91 Rh.upf
Pb 207.20 Pb.upf
O 16.00 O.upf
CELL_PARAMETERS angstrom
-4.7818 2.2055 -1.8843
-0.0817 -3.9232 -4.1951
-4.0805 -4.8849 4.7471
ATOMIC_POSITIONS crystal
La 0.5131 0.0520 0.2492
La 0.0137 0.4457 0.7499
La 0.4898 0.9441 0.7509
Zn 0.0030 0.9976 0.4990
Cu 0.4984 0.5044 0.0028
Rh 0.4985 0.5013 0.4989
Rh 0.0020 0.0039 0.0013
Pb 0.9910 0.5541 0.2532
O 0.0851 0.9540 0.2440
O 0.3945 0.4705 0.2562
O 0.9081 0.0330 0.7514
O 0.5955 0.5234 0.7471
O 0.8096 0.2968 0.0558
O 0.6877 0.7972 0.4544
O 0.2047 0.6932 0.5473
O 0.3019 0.2017 0.9539
O 0.1945 0.7144 0.9474
O 0.3089 0.2006 0.5468
O 0.7965 0.3102 0.4461
O 0.7033 0.8018 0.0444